# LiCo2P2O8 PBE with a Hubbard U relaxed
# raw total energy = -86.9 eV/f.u.
# distance to the lowest polymorph of the same formula = 8.7 meV per atom
# E_form = -2.241 eV per atom
data_LiCo2P2O8
_chemical_formula_sum 'Li4 Co8 P8 O32'
_space_group_name_H-M_alt 'P 1'
_space_group_IT_number 1
_cell_length_a 5.093
_cell_length_b 10.209
_cell_length_c 13.736
_cell_angle_alpha 90.00
_cell_angle_beta 90.00
_cell_angle_gamma 90.00
loop_
_space_group_symop_operation_xyz
'x,y,z'
loop_
_atom_site_label
_atom_site_fract_x
_atom_site_fract_y
_atom_site_fract_z
Li1 0.550 0.221 0.250
Li2 0.550 0.279 0.750
Li3 0.450 0.721 0.250
Li4 0.450 0.779 0.750
Co1 0.059 0.035 0.247
Co2 0.554 0.222 0.999
Co3 0.554 0.278 0.499
Co4 0.059 0.465 0.747
Co5 0.941 0.535 0.247
Co6 0.446 0.722 0.999
Co7 0.446 0.778 0.499
Co8 0.941 0.965 0.747
P1 0.438 0.029 0.624
P2 0.051 0.217 0.872
P3 0.051 0.283 0.372
P4 0.438 0.471 0.124
P5 0.562 0.529 0.624
P6 0.949 0.717 0.872
P7 0.949 0.783 0.372
P8 0.562 0.971 0.124
O1 0.138 0.002 0.639
O2 0.475 0.037 0.029
O3 0.423 0.036 0.215
O4 0.991 0.069 0.855
O5 0.492 0.178 0.624
O6 0.939 0.208 0.280
O7 0.919 0.240 0.466
O8 0.351 0.243 0.875
O9 0.351 0.257 0.375
O10 0.919 0.260 0.966
O11 0.939 0.292 0.780
O12 0.492 0.322 0.124
O13 0.991 0.431 0.355
O14 0.423 0.464 0.715
O15 0.475 0.463 0.529
O16 0.138 0.498 0.139
O17 0.862 0.502 0.639
O18 0.525 0.537 0.029
O19 0.577 0.536 0.215
O20 0.009 0.569 0.855
O21 0.508 0.678 0.624
O22 0.061 0.708 0.280
O23 0.081 0.740 0.466
O24 0.649 0.743 0.875
O25 0.649 0.757 0.375
O26 0.081 0.760 0.966
O27 0.061 0.792 0.780
O28 0.508 0.822 0.124
O29 0.009 0.931 0.355
O30 0.577 0.964 0.715
O31 0.525 0.963 0.529
O32 0.862 0.998 0.139

# Li6Co5P8O28 PBE with a Hubbard U relaxed
# raw total energy = -314.7 eV/f.u.
# distance to the lowest polymorph of the same formula = 43.3 meV per atom
# E_form = -2.409 eV per atom
data_Li6Co5P8O28
_chemical_formula_sum 'Li12 Co10 P16 O56'
_space_group_name_H-M_alt 'P 1'
_space_group_IT_number 1
_cell_length_a 9.070
_cell_length_b 10.494
_cell_length_c 12.887
_cell_angle_alpha 87.79
_cell_angle_beta 106.33
_cell_angle_gamma 114.15
loop_
_space_group_symop_operation_xyz
'x,y,z'
loop_
_atom_site_label
_atom_site_fract_x
_atom_site_fract_y
_atom_site_fract_z
Li1 0.114 0.597 0.819
Li2 0.084 0.129 0.559
Li3 0.182 0.010 0.776
Li4 0.500 0.500 0.000
Li5 0.105 0.138 0.054
Li6 0.869 0.402 0.670
Li7 0.886 0.403 0.181
Li8 0.916 0.871 0.441
Li9 0.131 0.598 0.330
Li10 0.895 0.862 0.946
Li11 0.500 0.500 0.500
Li12 0.818 0.990 0.224
Co1 0.513 0.245 0.434
Co2 0.806 0.009 0.738
Co3 0.194 0.991 0.262
Co4 0.487 0.755 0.566
Co5 0.098 0.710 0.105
Co6 0.499 0.759 0.068
Co7 0.902 0.286 0.390
Co8 0.902 0.290 0.895
Co9 0.501 0.241 0.932
Co10 0.098 0.714 0.610
P1 0.446 0.810 0.310
P2 0.716 0.041 0.471
P3 0.290 0.960 0.033
P4 0.544 0.194 0.187
P5 0.456 0.806 0.813
P6 0.284 0.959 0.529
P7 0.554 0.190 0.690
P8 0.797 0.551 0.899
P9 0.203 0.449 0.101
P10 0.821 0.700 0.209
P11 0.807 0.703 0.709
P12 0.710 0.040 0.967
P13 0.808 0.555 0.401
P14 0.193 0.297 0.291
P15 0.192 0.445 0.599
P16 0.179 0.300 0.791
O1 0.659 0.453 0.944
O2 0.936 0.647 0.700
O3 0.720 0.606 0.290
O4 0.912 0.689 0.970
O5 0.270 0.813 0.256
O6 0.687 0.689 0.105
O7 0.269 0.775 0.760
O8 0.481 0.712 0.903
O9 0.064 0.368 0.804
O10 0.064 0.353 0.300
O11 0.304 0.036 0.427
O12 0.546 0.963 0.377
O13 0.542 0.809 0.232
O14 0.137 0.962 0.565
O15 0.854 0.040 0.923
O16 0.916 0.692 0.475
O17 0.295 0.038 0.931
O18 0.454 0.037 0.623
O19 0.081 0.510 0.623
O20 0.276 0.810 0.023
O21 0.728 0.192 0.477
O22 0.927 0.853 0.264
O23 0.903 0.483 0.871
O24 0.325 0.314 0.398
O25 0.705 0.962 0.069
O26 0.442 0.174 0.268
O27 0.919 0.490 0.377
O28 0.730 0.187 0.744
O29 0.073 0.147 0.736
O30 0.341 0.547 0.056
O31 0.097 0.517 0.129
O32 0.430 0.701 0.393
O33 0.458 0.191 0.768
O34 0.280 0.394 0.710
O35 0.731 0.225 0.240
O36 0.103 0.145 0.233
O37 0.313 0.311 0.895
O38 0.724 0.190 0.977
O39 0.084 0.308 0.525
O40 0.570 0.299 0.607
O41 0.292 0.399 0.213
O42 0.696 0.964 0.573
O43 0.535 0.963 0.876
O44 0.272 0.808 0.523
O45 0.146 0.960 0.077
O46 0.863 0.038 0.435
O47 0.897 0.855 0.767
O48 0.465 0.037 0.124
O49 0.664 0.455 0.441
O50 0.336 0.545 0.559
O51 0.558 0.826 0.732
O52 0.519 0.288 0.097
O53 0.708 0.601 0.787
O54 0.675 0.686 0.602
O55 0.088 0.311 0.030
O56 0.936 0.632 0.196

# Li6Co5P8O28 PBE with a Hubbard U relaxed
# raw total energy = -315.1 eV/f.u.
# distance to the lowest polymorph of the same formula = 34.7 meV per atom
# E_form = -2.418 eV per atom
data_Li6Co5P8O28
_chemical_formula_sum 'Li12 Co10 P16 O56'
_space_group_name_H-M_alt 'P 1'
_space_group_IT_number 1
_cell_length_a 13.018
_cell_length_b 9.173
_cell_length_c 10.487
_cell_angle_alpha 65.68
_cell_angle_beta 87.44
_cell_angle_gamma 73.45
loop_
_space_group_symop_operation_xyz
'x,y,z'
loop_
_atom_site_label
_atom_site_fract_x
_atom_site_fract_y
_atom_site_fract_z
Li1 0.035 0.856 0.999
Li2 0.825 0.933 0.122
Li3 0.862 0.178 0.441
Li4 0.750 0.500 0.500
Li5 0.638 0.822 0.559
Li6 0.675 0.067 0.878
Li7 0.465 0.144 0.001
Li8 0.314 0.911 0.131
Li9 0.443 0.092 0.429
Li10 0.250 0.500 0.500
Li11 0.057 0.908 0.571
Li12 0.186 0.089 0.869
O1 0.544 0.271 0.600
O2 0.796 0.690 0.541
O3 0.776 0.927 0.301
O4 0.944 0.076 0.645
O5 0.812 0.861 0.967
O6 0.997 0.266 0.175
O7 0.867 0.935 0.507
O8 0.983 0.444 0.823
O9 0.956 0.729 0.400
O10 0.985 0.929 0.150
O11 0.011 0.108 0.855
O12 0.040 0.292 0.602
O13 0.022 0.510 0.220
O14 0.125 0.099 0.482
O15 0.014 0.730 0.756
O16 0.175 0.152 0.033
O17 0.059 0.931 0.371
O18 0.126 0.470 0.955
O19 0.219 0.084 0.694
O20 0.199 0.337 0.459
O21 0.156 0.507 0.708
O22 0.225 0.282 0.186
O23 0.140 0.680 0.316
O24 0.179 0.700 0.039
O25 0.321 0.300 0.961
O26 0.360 0.320 0.684
O27 0.275 0.718 0.814
O28 0.344 0.493 0.292
O29 0.301 0.663 0.541
O30 0.281 0.916 0.306
O31 0.374 0.530 0.045
O32 0.441 0.069 0.629
O33 0.325 0.848 0.967
O34 0.486 0.270 0.244
O35 0.515 0.071 0.850
O36 0.375 0.901 0.518
O37 0.478 0.490 0.780
O38 0.881 0.548 0.043
O39 0.460 0.708 0.398
O40 0.517 0.556 0.177
O41 0.633 0.065 0.493
O42 0.489 0.892 0.145
O43 0.503 0.734 0.825
O44 0.688 0.139 0.033
O45 0.556 0.924 0.355
O46 0.619 0.452 0.957
O47 0.724 0.073 0.699
O48 0.704 0.310 0.459
O49 0.643 0.594 0.699
O50 0.857 0.406 0.301
O51 0.647 0.660 0.322
O52 0.681 0.682 0.041
O53 0.819 0.318 0.959
O54 0.853 0.340 0.678
O55 0.780 0.721 0.816
O56 0.720 0.279 0.184
P1 0.348 0.800 0.447
P2 0.433 0.458 0.202
P3 0.459 0.178 0.697
P4 0.556 0.571 0.804
P5 0.655 0.176 0.559
P6 0.542 0.799 0.300
P7 0.717 0.290 0.033
P8 0.783 0.710 0.967
P9 0.958 0.201 0.700
P10 0.845 0.824 0.441
P11 0.067 0.542 0.798
P12 0.152 0.200 0.553
P13 0.041 0.822 0.303
P14 0.217 0.296 0.035
P15 0.283 0.704 0.965
P16 0.944 0.429 0.196
Co1 0.863 0.896 0.719
Co2 0.987 0.212 0.005
Co3 0.816 0.520 0.755
Co4 0.684 0.480 0.245
Co5 0.513 0.788 0.995
Co6 0.637 0.104 0.281
Co7 0.355 0.899 0.712
Co8 0.318 0.505 0.754
Co9 0.182 0.495 0.246
Co10 0.145 0.101 0.288

# LiCo2P2O8 PBE with a Hubbard U relaxed
# raw total energy = -86.8 eV/f.u.
# distance to the lowest polymorph of the same formula = 15.2 meV per atom
# E_form = -2.234 eV per atom
data_LiCo2P2O8
_chemical_formula_sum 'Li2 Co4 P4 O16'
_space_group_name_H-M_alt 'P 1'
_space_group_IT_number 1
_cell_length_a 5.185
_cell_length_b 8.241
_cell_length_c 8.464
_cell_angle_alpha 74.01
_cell_angle_beta 90.00
_cell_angle_gamma 90.00
loop_
_space_group_symop_operation_xyz
'x,y,z'
loop_
_atom_site_label
_atom_site_fract_x
_atom_site_fract_y
_atom_site_fract_z
Li1 0.330 0.498 0.281
Li2 0.670 0.498 0.781
Co1 0.313 0.117 0.213
Co2 0.826 0.645 0.380
Co3 0.687 0.117 0.713
Co4 0.174 0.645 0.880
P1 0.670 0.751 0.011
P2 0.815 0.263 0.334
P3 0.330 0.751 0.511
P4 0.185 0.263 0.834
O1 0.194 0.130 0.005
O2 0.391 0.685 0.055
O3 0.663 0.195 0.208
O4 0.805 0.785 0.158
O5 0.106 0.290 0.278
O6 0.695 0.429 0.347
O7 0.806 0.130 0.505
O8 0.190 0.620 0.439
O9 0.334 0.922 0.373
O10 0.609 0.685 0.555
O11 0.337 0.195 0.708
O12 0.195 0.785 0.658
O13 0.894 0.290 0.778
O14 0.305 0.429 0.847
O15 0.810 0.620 0.939
O16 0.666 0.922 0.873

# LiCoP2O7 PBE with a Hubbard U relaxed
# raw total energy = -73.5 eV/f.u.
# distance to the lowest polymorph of the same formula = 38.0 meV per atom
# E_form = -2.315 eV per atom
data_LiCoP2O7
_chemical_formula_sum 'Li4 Co4 P8 O28'
_space_group_name_H-M_alt 'P 1'
_space_group_IT_number 1
_cell_length_a 5.193
_cell_length_b 8.007
_cell_length_c 13.772
_cell_angle_alpha 68.43
_cell_angle_beta 90.00
_cell_angle_gamma 90.00
loop_
_space_group_symop_operation_xyz
'x,y,z'
loop_
_atom_site_label
_atom_site_fract_x
_atom_site_fract_y
_atom_site_fract_z
Li1 0.520 0.419 0.826
Li2 0.914 0.973 0.170
Li3 0.086 0.973 0.670
Li4 0.480 0.419 0.326
Co1 0.035 0.730 0.371
Co2 0.965 0.730 0.871
Co3 0.515 0.269 0.145
Co4 0.485 0.269 0.645
P1 0.448 0.820 0.197
P2 0.034 0.303 0.982
P3 0.542 0.699 0.518
P4 0.552 0.820 0.697
P5 0.982 0.179 0.306
P6 0.966 0.303 0.482
P7 0.458 0.699 0.018
P8 0.018 0.179 0.806
O1 0.279 0.272 0.772
O2 0.985 0.157 0.927
O3 0.783 0.281 0.748
O4 0.450 0.517 0.596
O5 0.324 0.312 0.998
O6 0.828 0.696 0.493
O7 0.369 0.774 0.422
O8 0.915 0.477 0.903
O9 0.508 0.014 0.187
O10 0.363 0.685 0.766
O11 0.966 0.986 0.308
O12 0.514 0.838 0.576
O13 0.836 0.773 0.723
O14 0.883 0.226 0.084
O15 0.631 0.774 0.922
O16 0.721 0.272 0.272
O17 0.015 0.157 0.427
O18 0.492 0.014 0.687
O19 0.217 0.281 0.248
O20 0.034 0.986 0.808
O21 0.550 0.517 0.096
O22 0.117 0.226 0.584
O23 0.676 0.312 0.498
O24 0.172 0.696 0.993
O25 0.085 0.477 0.403
O26 0.637 0.685 0.266
O27 0.486 0.838 0.076
O28 0.164 0.773 0.223

# LiCo2P5O16 PBE with a Hubbard U relaxed
# raw total energy = -164.0 eV/f.u.
# E_form = -2.331 eV per atom
data_LiCo2P5O16
_chemical_formula_sum 'Li2 Co4 P10 O32'
_space_group_name_H-M_alt 'P 1'
_space_group_IT_number 1
_cell_length_a 6.592
_cell_length_b 4.885
_cell_length_c 18.434
_cell_angle_alpha 88.77
_cell_angle_beta 90.00
_cell_angle_gamma 90.00
loop_
_space_group_symop_operation_xyz
'x,y,z'
loop_
_atom_site_label
_atom_site_fract_x
_atom_site_fract_y
_atom_site_fract_z
Li1 0.378 0.267 0.026
Li2 0.622 0.267 0.526
Co1 0.182 0.249 0.592
Co2 0.818 0.249 0.092
Co3 0.819 0.754 0.408
Co4 0.181 0.754 0.908
P1 0.123 0.237 0.425
P2 0.540 0.732 0.131
P3 0.540 0.270 0.369
P4 0.245 0.996 0.750
P5 0.877 0.237 0.925
P6 0.122 0.762 0.077
P7 0.460 0.270 0.869
P8 0.755 0.996 0.250
P9 0.878 0.762 0.577
P10 0.460 0.732 0.631
O1 0.698 0.768 0.639
O2 0.608 0.775 0.213
O3 0.573 0.571 0.382
O4 0.966 0.424 0.390
O5 0.043 0.585 0.611
O6 0.642 0.078 0.424
O7 0.871 0.153 0.193
O8 0.058 0.938 0.434
O9 0.435 0.431 0.612
O10 0.427 0.571 0.882
O11 0.129 0.153 0.693
O12 0.768 0.344 0.993
O13 0.358 0.078 0.924
O14 0.879 0.851 0.307
O15 0.232 0.344 0.493
O16 0.302 0.768 0.139
O17 0.773 0.643 0.510
O18 0.595 0.197 0.287
O19 0.405 0.197 0.787
O20 0.072 0.068 0.069
O21 0.034 0.424 0.890
O22 0.227 0.643 0.010
O23 0.121 0.851 0.807
O24 0.942 0.938 0.934
O25 0.565 0.431 0.112
O26 0.392 0.775 0.713
O27 0.957 0.585 0.111
O28 0.630 0.943 0.079
O29 0.370 0.943 0.579
O30 0.928 0.068 0.569
O31 0.696 0.224 0.864
O32 0.304 0.224 0.364

# Li2CoP2O7 PBE with a Hubbard U relaxed
# raw total energy = -79.8 eV/f.u.
# distance to the lowest polymorph of the same formula = 29.5 meV per atom
# E_form = -2.488 eV per atom
data_Li2CoP2O7
_chemical_formula_sum 'Li8 Co4 P8 O28'
_space_group_name_H-M_alt 'P 1'
_space_group_IT_number 1
_cell_length_a 5.180
_cell_length_b 6.267
_cell_length_c 16.617
_cell_angle_alpha 86.77
_cell_angle_beta 91.39
_cell_angle_gamma 83.51
loop_
_space_group_symop_operation_xyz
'x,y,z'
loop_
_atom_site_label
_atom_site_fract_x
_atom_site_fract_y
_atom_site_fract_z
Li1 0.200 0.558 0.229
Li2 0.200 0.058 0.729
Li3 0.800 0.942 0.271
Li4 0.800 0.442 0.771
Li5 0.302 0.518 0.420
Li6 0.302 0.018 0.920
Li7 0.698 0.982 0.080
Li8 0.698 0.482 0.580
Co1 0.235 0.566 0.873
Co2 0.765 0.934 0.627
Co3 0.235 0.066 0.373
Co4 0.765 0.434 0.127
P1 0.214 0.733 0.065
P2 0.214 0.233 0.565
P3 0.786 0.767 0.435
P4 0.786 0.267 0.935
P5 0.284 0.076 0.176
P6 0.284 0.576 0.676
P7 0.716 0.424 0.324
P8 0.716 0.924 0.824
O1 0.069 0.789 0.413
O2 0.069 0.289 0.913
O3 0.931 0.711 0.087
O4 0.931 0.211 0.587
O5 0.105 0.286 0.169
O6 0.105 0.786 0.669
O7 0.895 0.214 0.331
O8 0.895 0.714 0.831
O9 0.266 0.238 0.475
O10 0.266 0.738 0.975
O11 0.734 0.262 0.025
O12 0.734 0.762 0.525
O13 0.200 0.914 0.240
O14 0.200 0.413 0.740
O15 0.800 0.586 0.260
O16 0.800 0.087 0.760
O17 0.263 0.979 0.085
O18 0.263 0.479 0.585
O19 0.737 0.521 0.415
O20 0.737 0.021 0.915
O21 0.425 0.394 0.318
O22 0.425 0.894 0.818
O23 0.575 0.106 0.182
O24 0.575 0.606 0.682
O25 0.407 0.587 0.120
O26 0.407 0.087 0.620
O27 0.593 0.913 0.380
O28 0.593 0.413 0.880